No. 1
The following is a DFT calculation (PBE-GGA) of crystalline Ca3Al2Si3O12 at its relaxed geometry.

```
Ca3Al2Si3O12
1.0
-4.042 0.034 9.545
-0.768 9.484 -4.111
-5.170 -6.759 -5.918
Si O Al Ca
12 48 8 12
Cartesian
-4.350 7.479 2.822
-4.375 1.556 6.584
-5.605 1.203 -7.068
-6.551 -0.643 1.918
-2.469 6.613 -3.883
-4.107 1.888 2.944
-5.630 -4.721 -3.306
-5.041 4.600 0.663
-4.939 -1.841 -1.147
-7.510 -3.855 3.399
-5.873 0.871 -3.428
-3.429 3.401 -2.402
-3.438 4.490 1.095
-3.350 3.258 3.508
-4.885 -3.092 -6.501
-5.666 -0.444 -6.841
-4.314 3.203 6.357
-4.939 -3.121 -0.084
-4.432 1.945 -6.150
-5.701 2.174 3.327
-6.210 -3.243 -3.804
-3.928 -2.074 -2.448
-4.756 4.765 -7.145
-3.059 2.999 -3.974
-3.607 2.074 -1.414
-6.466 2.269 -4.108
-4.347 -0.438 -0.478
-5.041 5.880 -0.400
-4.833 4.278 -2.576
-9.217 1.665 0.928
-9.066 1.723 -1.849
-3.532 6.656 -2.604
-6.052 4.832 1.964
-6.542 -1.731 -1.579
-3.514 0.490 3.624
-6.373 0.684 0.930
-3.862 1.629 1.319
-6.931 -2.995 4.700
-6.117 1.129 -1.803
-5.633 3.196 -0.006
-8.504 4.016 -0.378
-4.279 0.585 -3.811
-3.741 7.955 1.348
-6.238 -5.196 -1.832
-6.448 -3.897 2.120
-5.223 -2.007 6.661
-6.921 -0.241 3.490
-3.049 5.753 -5.184
-0.914 1.035 1.365
-8.003 -5.680 0.263
-5.095 5.850 6.017
-3.770 6.001 3.320
-2.218 4.254 -1.645
-1.977 8.439 -0.747
-5.147 -1.519 2.092
-0.763 1.093 -1.412
-5.548 0.814 5.667
-6.630 -0.500 -3.992
-7.762 -1.495 1.161
-1.476 -1.257 -0.106
-0.384 4.742 -2.055
-2.405 4.759 2.717
0.000 0.000 0.000
-4.606 -3.363 1.813
-2.021 0.017 4.772
-2.585 -3.380 -2.959
-4.990 1.379 -0.242
-2.969 1.362 -5.014
-5.066 -1.324 4.425
-7.076 3.250 -2.070
-5.309 4.267 4.303
-2.904 -0.492 1.586
-2.738 6.281 -0.244
-8.035 0.039 -0.589
-4.914 4.083 -4.909
-2.636 -0.159 -2.054
-7.344 2.918 1.570
-7.242 -3.522 -0.240
-4.671 -1.509 -4.787
-1.945 2.720 0.105
```

Results
Total magnetization: 0.0 μB per formula unit
Formation energy: -3.45 eV/atom
V: 10.72 A^3/atom
Mass density: 3.490 g/cm3



No. 2
The following is a DFT calculation (PBE-GGA) of crystalline Mg2Si at its relaxed geometry.

```
Mg2Si
1.0
-1.592 -1.911 1.637
0.645 -3.549 -3.514
7.083 -1.106 2.924
Mg Si
4 2
Cartesian
6.064 -4.455 0.686
0.072 -2.110 0.361
3.048 -1.832 0.850
3.087 -4.733 0.197
4.256 -3.412 2.865
1.880 -3.153 -1.818
```

Results
Total magnetization: 0.0 μB per formula unit
Formation energy: 0.14 eV/atom
V: 18.98 A^3/atom
Mass density: 2.237 g/cm3



No. 3
The following is a DFT calculation (PBE-GGA) of crystalline RuO2 at its relaxed geometry.

```
RuO2
1.0
-3.453 3.357 0.893
-2.683 -3.378 2.321
2.207 1.147 4.220
O Ru
8 4
Cartesian
-4.195 -0.523 3.184
-1.906 3.097 3.846
-3.550 1.842 2.204
-0.380 -0.716 5.230
-2.024 -1.970 3.588
0.266 1.650 4.250
-1.379 0.395 2.608
-2.551 0.731 4.826
-0.623 2.252 2.557
0.000 0.000 0.000
-3.068 -0.010 1.607
-0.238 -1.115 3.270
```

Results
Formation energy: -1.39 eV/atom
V: 9.79 A^3/atom
Mass density: 7.521 g/cm3



No. 4
The following is a DFT calculation (PBE-GGA) of crystalline Sb2Te at its relaxed geometry.

```
Sb2Te
1.0
-3.964 3.964 3.071
3.964 -3.964 3.071
3.964 3.964 -3.071
Sb Te
4 2
Cartesian
5.946 0.000 0.768
3.964 1.982 2.303
1.982 0.000 0.768
3.964 -1.982 2.303
0.000 0.000 3.071
0.000 3.964 1.536
```

Results
Total magnetization: 0.0 μB per formula unit
Formation energy: -0.13 eV/atom
Offset from the most stable computed form: 0.078 eV/atom
V: 32.17 A^3/atom
Mass density: 6.385 g/cm3



Which value of formation energy does entry 1 give?
-3.45 eV/atom



The lowest V belongs to which entry?
RuO2



What is the mass density in the third record?
7.521 g/cm3